# 1
SmCuSeF | PBE | relaxed

Cell: 3.8250 3.8250 9.3512 Å, 90.00 90.00 90.00°
With the nearest neighbours (Å) after each atom.
Atoms (fractional coordinates):
F 0.5000 0.5000 0.0000  4 Sm 2.51, 4 F 2.70
Cu 0.5000 0.5000 0.5000  4 Se 2.67, 4 Cu 2.70
Sm 0.5000 0.0000 0.1745  4 F 2.51
Cu 0.0000 0.0000 0.5000  4 Se 2.67, 4 Cu 2.70
F 0.0000 0.0000 0.0000  4 Sm 2.51, 4 F 2.70
Se 0.5000 0.0000 0.6985  4 Cu 2.67, 4 Sm 2.95
Sm 0.0000 0.5000 0.8255  4 F 2.51
Se 0.0000 0.5000 0.3015  4 Cu 2.67, 4 Sm 2.95

## Properties
- Crystal system: tetragonal
- DFT formation energy: -1.8773 eV per atom



# 2
BiRhS | PBE | relaxed

Cell: 6.2221 6.2221 6.2221 Å, 90.00 90.00 90.00°
With the nearest neighbours (Å) after each atom.
Atoms (fractional coordinates):
Rh 0.9780 0.5220 0.4780  3 S 2.47, 3 Bi 2.71
Rh 0.5220 0.4780 0.9780  3 S 2.47, 3 Bi 2.71
S 0.3811 0.1189 0.8811  3 Rh 2.47, 1 Bi 2.65
Bi 0.1274 0.6274 0.8726  1 S 2.65, 3 Rh 2.71
S 0.1189 0.8811 0.3811  3 Rh 2.47, 1 Bi 2.65
S 0.8811 0.3811 0.1189  3 Rh 2.47, 1 Bi 2.65
S 0.6189 0.6189 0.6189  3 Rh 2.47, 1 Bi 2.65
Bi 0.8726 0.1274 0.6274  1 S 2.65, 3 Rh 2.71
Bi 0.6274 0.8726 0.1274  1 S 2.65, 3 Rh 2.71
Rh 0.4780 0.9780 0.5220  3 S 2.47, 3 Bi 2.71
Rh 0.0220 0.0220 0.0220  3 S 2.47, 3 Bi 2.71
Bi 0.3726 0.3726 0.3726  1 S 2.65, 3 Rh 2.71

## Properties
- Crystal system: cubic
- DFT formation energy: -0.5616 eV per atom



Number 1: DFT total energy -42.55 eV for the cell shown. Number 2: DFT total energy -66.29 eV for the cell shown.